Below is Na6Y3TaSi2P4O24 after structural relaxation, with properties calculated at the GGA-PBE level. Values from VASP.

Computed properties:
MP2020-corrected energy in eV per formula unit: -313.27
ρ in g cm⁻³: 3.37
Energy relative to the elements in kcal/mol of atoms: -70.8

The structure in Quantum ESPRESSO input format:
```
&SYSTEM
  ibrav = 0, nat = 80, ntyp = 6
/
ATOMIC_SPECIES
Na 22.99 Na.upf
Y 88.91 Y.upf
Ta 180.95 Ta.upf
Si 28.09 Si.upf
P 30.97 P.upf
O 16.00 O.upf
CELL_PARAMETERS angstrom
13.391 -0.020 -9.055
-0.011 9.245 0.002
-0.220 0.004 9.308
ATOMIC_POSITIONS crystal
Na 0.252 0.753 0.000
Na 0.748 0.759 0.495
Na 0.752 0.253 0.000
Na 0.248 0.259 0.495
Na 0.500 0.084 0.739
Na 0.505 0.881 0.245
Na 0.000 0.584 0.739
Na 0.005 0.381 0.245
Na 0.190 0.932 0.296
Na 0.807 0.082 0.713
Na 0.690 0.432 0.296
Na 0.307 0.582 0.713
Y 0.102 0.762 0.561
Y 0.898 0.241 0.441
Y 0.108 0.252 0.055
Y 0.602 0.262 0.561
Y 0.398 0.741 0.441
Y 0.608 0.752 0.055
Ta 0.896 0.746 0.948
Ta 0.396 0.246 0.948
Si 0.353 0.908 0.756
Si 0.651 0.108 0.254
Si 0.853 0.408 0.756
Si 0.151 0.608 0.254
P 0.997 0.941 0.767
P 0.992 0.047 0.235
P 0.497 0.441 0.767
P 0.492 0.547 0.235
P 0.652 0.893 0.736
P 0.357 0.096 0.256
P 0.152 0.393 0.736
P 0.857 0.596 0.256
O 0.161 0.560 0.742
O 0.847 0.589 0.777
O 0.853 0.431 0.229
O 0.155 0.432 0.253
O 0.661 0.060 0.742
O 0.347 0.089 0.777
O 0.353 0.931 0.229
O 0.655 0.932 0.253
O 0.434 0.543 0.607
O 0.565 0.526 0.938
O 0.546 0.455 0.401
O 0.435 0.443 0.070
O 0.934 0.043 0.607
O 0.065 0.026 0.938
O 0.046 0.955 0.401
O 0.935 0.943 0.070
O 0.262 0.831 0.753
O 0.751 0.830 0.768
O 0.732 0.194 0.234
O 0.265 0.147 0.249
O 0.762 0.331 0.753
O 0.251 0.330 0.768
O 0.232 0.694 0.234
O 0.765 0.647 0.249
O 0.352 0.886 0.578
O 0.643 0.850 0.886
O 0.662 0.159 0.430
O 0.359 0.167 0.100
O 0.852 0.386 0.578
O 0.143 0.350 0.886
O 0.162 0.659 0.430
O 0.859 0.667 0.100
O 0.461 0.853 0.927
O 0.559 0.839 0.558
O 0.531 0.169 0.086
O 0.455 0.140 0.431
O 0.961 0.353 0.927
O 0.059 0.339 0.558
O 0.031 0.669 0.086
O 0.955 0.640 0.431
O 0.058 0.825 0.747
O 0.913 0.855 0.772
O 0.916 0.153 0.225
O 0.077 0.135 0.240
O 0.558 0.325 0.747
O 0.413 0.355 0.772
O 0.416 0.653 0.225
O 0.577 0.635 0.240
```